K2RhF6: optimized geometry, PBE.

The space group is P-3m1 (No. 164) and the conventional cell measures 5.8469, 5.8469 and 4.7610 Å, with angles of 90.00, 90.00 and 120.00 degrees. Symmetry generates all atoms from K at (0.3333, 0.6667, 0.2883), Rh at (0.0000, 0.0000, 0.0000) and F at (0.1610, 0.3220, 0.7735).

The calculation puts the energy of formation from the pure elements at -2.49 eV per atom. As for the calculated density: 3.48 Mg/m³.

KRhF6: optimized geometry, PBE.

The space group is R-3 (No. 148, hexagonal axes) and the conventional cell measures 7.5177, 7.5177 and 7.3461 Å, with angles of 90.00, 90.00 and 120.00 degrees. Symmetry generates all atoms from K at (0.0000, 0.0000, 0.0000), Rh at (0.0000, 0.0000, 0.5000) and F at (0.0659, 0.2291, 0.6539).

The calculation puts the energy of formation from the pure elements at -2.16 eV per atom. As for the calculated density: 3.55 Mg/m³.